1.
Below is crystalline MgSe2 at its relaxed geometry, with properties calculated at the GGA-PBE level.

a b c (Å): 6.520 6.520 6.520
angles (deg): 90.00 90.00 90.00
Sites, in units of the cell vectors:
Mg 0.000 0.000 0.000
Mg 0.000 0.500 0.500
Mg 0.500 0.000 0.500
Mg 0.500 0.500 0.000
Se 0.107 0.607 0.893
Se 0.107 0.893 0.393
Se 0.393 0.107 0.893
Se 0.393 0.393 0.393
Se 0.607 0.607 0.607
Se 0.607 0.893 0.107
Se 0.893 0.107 0.607
Se 0.893 0.393 0.107

E (eV for the cell shown): -44.312
Symmetry: Pa-3 (205)

---

2.
Below is crystalline Mg5Se at its relaxed geometry, with properties calculated at the GGA-PBE level.

a b c (Å): 5.687 5.687 7.921
angles (deg): 106.72 106.72 35.22
Sites, in units of the cell vectors:
Mg 0.000 0.000 0.000
Mg 0.060 0.060 0.432
Mg 0.316 0.316 0.165
Mg 0.390 0.390 0.650
Mg 0.683 0.683 0.813
Se 0.756 0.756 0.401

E (eV for the cell shown): -12.656
Symmetry: Cm (8)